Here is crystalline NdSi3Rh at its relaxed geometry from the Materials Project. Energies are from PBE-GGA.

```
data_NdSi3Rh
_chemical_formula_sum 'Nd2 Si6 Rh2'
_space_group_name_H-M_alt 'I 4 m m'
_space_group_IT_number 107
_space_group_name_Hall 'I 4 -2'
_cell_length_a 4.242
_cell_length_b 4.242
_cell_length_c 9.899
_cell_angle_alpha 90.00
_cell_angle_beta 90.00
_cell_angle_gamma 90.00
loop_
_atom_site_label
_atom_site_type_symbol
_atom_site_fract_x
_atom_site_fract_y
_atom_site_fract_z
_atom_site_occupancy
Nd1 Nd 0.000 0.000 0.000 1
Si1 Si 0.000 0.000 0.415 1
Si2 Si 0.000 0.500 0.263 1
Rh1 Rh 0.000 0.000 0.656 1
```

## Properties
- Final energy: -6.48 eV/atom
- Formation energy from the elements: -798 meV per atom